First-principles (PBE+U) data for crystalline Sr4V2Se6O21 at its relaxed geometry, as listed in the Materials Project database.

Lattice parameters (Å, degrees): 12.374 25.733 13.102 90.00 90.00 90.00
Space group Fdd2 (No. 43)
Symmetry-distinct sites (fractional):
Sr  0.106  0.213  0.000 [16 per cell]
Sr  0.123  0.379  0.975 [16 per cell]
V  0.105  0.131  0.255 [16 per cell]
Se  0.097  0.062  0.956 [16 per cell]
Se  0.109  0.449  0.722 [16 per cell]
Se  0.121  0.025  0.507 [16 per cell]
O  0.000  0.000  0.439 [8 per cell]
O  0.018  0.425  0.529 [16 per cell]
O  0.034  0.406  0.797 [16 per cell]
O  0.039  0.214  0.554 [16 per cell]
O  0.048  0.053  0.834 [16 per cell]
O  0.056  0.166  0.159 [16 per cell]
O  0.067  0.053  0.613 [16 per cell]
O  0.068  0.154  0.397 [16 per cell]
O  0.077  0.219  0.803 [16 per cell]
O  0.080  0.329  0.459 [16 per cell]
O  0.089  0.371  0.188 [16 per cell]

Output
Its crystal system is orthorhombic. The calculation puts the total magnetization at 0.0 Bohr magnetons per cell. The calculation puts the total energy at -6.12 eV/atom.

First-principles (PBE+U) data for crystalline ThV2SeO9 at its relaxed geometry, as listed in the Materials Project database.

Lattice parameters (Å, degrees): 6.939 14.714 7.251 90.00 90.00 90.00
Space group Pbcm (No. 57)
Symmetry-distinct sites (fractional):
Th  0.145  0.046  0.250 [4 per cell]
V  0.198  0.730  0.750 [4 per cell]
V  0.438  0.250  0.000 [4 per cell]
Se  0.308  0.044  0.750 [4 per cell]
O  0.028  0.688  0.250 [4 per cell]
O  0.101  0.625  0.750 [4 per cell]
O  0.172  0.510  0.075 [8 per cell]
O  0.279  0.750  0.000 [4 per cell]
O  0.300  0.159  0.049 [8 per cell]
O  0.477  0.013  0.250 [4 per cell]
O  0.488  0.721  0.750 [4 per cell]

Output
Its crystal system is orthorhombic. The calculation puts the total magnetization at 0.0 Bohr magnetons per cell. The calculation puts the total energy at -7.49 eV/atom.

First-principles (PBE+U) data for crystalline TlV3Se2O12 at its relaxed geometry, as listed in the Materials Project database.

Lattice parameters (Å, degrees): 7.1614 7.1614 11.8202 90.00 90.00 120.00
Space group P6_3 (No. 173)
Symmetry-distinct sites (fractional):
Tl  0.3333  0.6667  0.0000 [2 per cell]
V  0.1278  0.7945  0.6728 [6 per cell]
Se  0.0000  0.0000  0.3931 [2 per cell]
Se  0.3333  0.6667  0.4490 [2 per cell]
O  0.0835  0.5420  0.6989 [6 per cell]
O  0.1204  0.2536  0.8296 [6 per cell]
O  0.1243  0.2516  0.1405 [6 per cell]
O  0.1988  0.4136  0.5108 [6 per cell]

Output
Its crystal system is hexagonal. The calculation puts the total energy at -6.46 eV/atom.

First-principles (PBE+U) data for crystalline V2Se2O9 at its relaxed geometry, as listed in the Materials Project database.

Lattice parameters (Å, degrees): 7.413 7.318 14.520 90.00 103.33 90.00
Space group P2_1/c (No. 14)
Symmetry-distinct sites (fractional):
V  0.033  0.166  0.428 [4 per cell]
V  0.382  0.122  0.633 [4 per cell]
Se  0.034  0.732  0.361 [4 per cell]
Se  0.393  0.683  0.629 [4 per cell]
O  0.059  0.534  0.845 [4 per cell]
O  0.086  0.702  0.483 [4 per cell]
O  0.164  0.180  0.897 [4 per cell]
O  0.183  0.058  0.532 [4 per cell]
O  0.200  0.734  0.164 [4 per cell]
O  0.205  0.206  0.167 [4 per cell]
O  0.475  0.100  0.767 [4 per cell]
O  0.482  0.739  0.405 [4 per cell]
O  0.497  0.606  0.117 [4 per cell]

Output
For the polymorph energy (0 for the lowest one), the calculation gives 0.0 meV per atom. Its crystal system is monoclinic. The calculation puts the total energy at -6.41 eV/atom.

First-principles (PBE+U) data for crystalline VSeO4 at its relaxed geometry, as listed in the Materials Project database.

Lattice parameters (Å, degrees): 3.986 10.012 8.182 90.00 98.87 90.00
Space group P2_1/c (No. 14)
Symmetry-distinct sites (fractional):
V  0.018  0.003  0.304 [4 per cell]
Se  0.189  0.709  0.533 [4 per cell]
O  0.015  0.128  0.503 [4 per cell]
O  0.121  0.118  0.894 [4 per cell]
O  0.131  0.664  0.328 [4 per cell]
O  0.435  0.506  0.802 [4 per cell]

Output
Its crystal system is monoclinic. The calculation puts the total energy at -6.48 eV/atom.

First-principles (PBE+U) data for crystalline V2Se2O11 at its relaxed geometry, as listed in the Materials Project database.

Lattice parameters (Å, degrees): 15.703 5.690 9.757 90.00 112.69 90.00
Space group C2/c (No. 15)
Symmetry-distinct sites (fractional):
V  0.122  0.076  0.290 [8 per cell]
Se  0.146  0.382  0.594 [8 per cell]
O  0.000  0.096  0.250 [4 per cell]
O  0.091  0.382  0.110 [8 per cell]
O  0.092  0.136  0.616 [8 per cell]
O  0.146  0.368  0.420 [8 per cell]
O  0.158  0.112  0.921 [8 per cell]
O  0.245  0.134  0.276 [8 per cell]

Output
Its crystal system is monoclinic. The calculation puts the total energy at -6.15 eV/atom.

First-principles (PBE+U) data for crystalline V2Se2O9 at its relaxed geometry, as listed in the Materials Project database.

Lattice parameters (Å, degrees): 8.182 10.527 10.724 90.00 126.12 90.00
Space group P2_1/c (No. 14)
Symmetry-distinct sites (fractional):
V  0.019  0.104  0.292 [4 per cell]
V  0.372  0.032  0.718 [4 per cell]
Se  0.249  0.163  0.138 [4 per cell]
Se  0.312  0.655  0.872 [4 per cell]
O  0.085  0.726  0.724 [4 per cell]
O  0.103  0.552  0.382 [4 per cell]
O  0.139  0.544  0.151 [4 per cell]
O  0.217  0.530  0.921 [4 per cell]
O  0.238  0.186  0.293 [4 per cell]
O  0.247  0.178  0.582 [4 per cell]
O  0.368  0.573  0.763 [4 per cell]
O  0.447  0.088  0.882 [4 per cell]
O  0.492  0.639  0.264 [4 per cell]

Output
For the polymorph energy (0 for the lowest one), the calculation gives 7.4 meV per atom. Its crystal system is monoclinic. The calculation puts the total magnetization at 0.0 Bohr magnetons per cell. The calculation puts the total energy at -6.40 eV/atom.

First-principles (PBE+U) data for crystalline V2Se2O13 at its relaxed geometry, as listed in the Materials Project database.

Lattice parameters (Å, degrees): 20.684 6.867 10.983 90.00 121.84 90.00
Space group C2/c (No. 15)
Symmetry-distinct sites (fractional):
V  0.175  0.218  0.207 [8 per cell]
Se  0.164  0.252  0.786 [8 per cell]
O  0.000  0.110  0.250 [4 per cell]
O  0.003  0.207  0.353 [8 per cell]
O  0.076  0.288  0.639 [8 per cell]
O  0.139  0.194  0.035 [8 per cell]
O  0.144  0.427  0.249 [8 per cell]
O  0.159  0.007  0.291 [8 per cell]
O  0.222  0.256  0.709 [8 per cell]

Output
Its crystal system is monoclinic. The calculation puts the total magnetization at 8.0 Bohr magnetons per cell. The calculation puts the total energy at -5.80 eV/atom.